Computed, not measured: CoSe2O5 after structural relaxation at the PBE+U level of DFT.

The structure in POSCAR format:
```
CoSe2O5
1.0
6.1454 0.0000 0.0000
0.0000 6.9809 0.0000
0.0000 0.0000 10.5142
O Se Co
20 8 4
Direct
0.0523 0.3452 0.5664
0.5523 0.1548 0.9336
0.2500 0.0000 0.5647
0.8297 0.6956 0.7102
0.4477 0.8452 0.0664
0.0523 0.1548 0.0664
0.4477 0.6548 0.5664
0.9477 0.8452 0.9336
0.8297 0.8044 0.2102
0.6703 0.1956 0.2102
0.5523 0.3452 0.4336
0.2500 0.5000 0.0647
0.7500 0.0000 0.4353
0.6703 0.3044 0.7102
0.9477 0.6548 0.4336
0.3297 0.6956 0.2898
0.1703 0.3044 0.2898
0.7500 0.5000 0.9353
0.1703 0.1956 0.7898
0.3297 0.8044 0.7898
0.4642 0.8633 0.6535
0.5358 0.1367 0.3465
0.9642 0.6367 0.8465
0.0358 0.1367 0.6535
0.9642 0.8633 0.3465
0.0358 0.3633 0.1535
0.4642 0.6367 0.1535
0.5358 0.3633 0.8465
0.2500 0.5000 0.4352
0.2500 0.0000 0.9352
0.7500 0.0000 0.0648
0.7500 0.5000 0.5648
```

Properties
**Volume**: 112.77 Å³/f.u.
**Calculated total energy**: -43.97 eV/f.u.



Computed, not measured: Co3Se4O12 after structural relaxation at the PBE+U level of DFT.

The structure in POSCAR format:
```
Co3Se4O12
1.0
9.1923 0.0000 0.0000
0.0000 7.6692 0.0000
0.0000 3.5952 7.1758
O Se Co
24 8 6
Direct
0.3735 0.3163 0.9526
0.3385 0.1683 0.6638
0.1151 0.4220 0.1502
0.5705 0.2756 0.2060
0.6615 0.8317 0.3362
0.3989 0.5844 0.5357
0.8735 0.1837 0.0474
0.1615 0.6683 0.6638
0.8849 0.5780 0.8498
0.8385 0.3317 0.3362
0.0705 0.2244 0.7940
0.4295 0.7244 0.7940
0.3710 0.5616 0.1598
0.1011 0.0844 0.5357
0.9295 0.7756 0.2060
0.8989 0.9156 0.4643
0.6290 0.4384 0.8402
0.3849 0.9220 0.1502
0.1290 0.0616 0.1598
0.6265 0.6837 0.0474
0.6151 0.0780 0.8498
0.6011 0.4156 0.4643
0.8710 0.9384 0.8402
0.1265 0.8163 0.9526
0.3174 0.1184 0.1674
0.8174 0.3816 0.8326
0.1677 0.2621 0.5985
0.8323 0.7379 0.4015
0.6677 0.2379 0.4015
0.6826 0.8816 0.8326
0.3323 0.7621 0.5985
0.1826 0.6184 0.1674
0.0000 0.0000 0.0000
0.4885 0.3188 0.7194
0.5115 0.6812 0.2806
0.5000 0.5000 0.0000
0.0115 0.8188 0.7194
0.9885 0.1812 0.2806
```

Properties
**Volume**: 252.94 Å³/f.u.
**Calculated total energy**: -103.01 eV/f.u.



Computed, not measured: CoSeO5 after structural relaxation at the PBE+U level of DFT.

The structure in POSCAR format:
```
CoSeO5
1.0
4.2337 3.4172 0.0000
-4.2337 3.4172 0.0000
0.0000 2.8860 6.4008
Co Se O
2 2 10
Direct
0.0000 0.0000 0.0000
0.0000 0.0000 0.5000
0.6719 0.3281 0.2500
0.3281 0.6719 0.7500
0.6754 0.1146 0.1135
0.6335 0.7459 0.5765
0.3246 0.8854 0.8865
0.1146 0.6754 0.6135
0.9482 0.0518 0.7500
0.0518 0.9482 0.2500
0.7459 0.6335 0.0765
0.8854 0.3246 0.3865
0.2541 0.3665 0.9235
0.3665 0.2541 0.4235
```

Properties
**Volume**: 92.60 Å³/f.u.
**Polymorph energy (0 for the lowest one)**: 0 meV per atom